(1)
DFT (PBE-GGA) results for crystalline LuI3 at its relaxed geometry.

a = 11.1771 Å, b = 11.1771 Å, c = 3.9233 Å
α = 90.00°, β = 90.00°, γ = 120.00°
Space group P6_3/mmc (No. 194)
One atom of each set of equivalent atoms:
Lu (0.3333, 0.6667, 0.2500) [2 per cell]
I (0.2154, 0.4307, 0.7500) [6 per cell]

***

(2)
DFT (PBE-GGA) results for crystalline Na2Lu3Te4I3O12 at its relaxed geometry.

a = 9.318 Å, b = 5.567 Å, c = 16.752 Å
α = 90.00°, β = 90.21°, γ = 90.00°
Space group P2/c (No. 13)
One atom of each set of equivalent atoms:
Na (0.202, 0.240, 0.414) [4 per cell]
Lu (0.499, 0.246, 0.585) [4 per cell]
Lu (0.500, 0.253, 0.250) [2 per cell]
Te (0.251, 0.293, 0.767) [4 per cell]
Te (0.255, 0.213, 0.066) [4 per cell]
I (0.000, 0.241, 0.250) [2 per cell]
I (0.006, 0.255, 0.584) [4 per cell]
O (0.344, 0.491, 0.341) [4 per cell]
O (0.348, 0.007, 0.493) [4 per cell]
O (0.368, 0.043, 0.812) [4 per cell]
O (0.374, 0.424, 0.685) [4 per cell]
O (0.374, 0.458, 0.021) [4 per cell]
O (0.382, 0.083, 0.145) [4 per cell]

***

(3)
DFT (PBE-GGA) results for crystalline LuI3O11 at its relaxed geometry.

a = 7.150 Å, b = 7.532 Å, c = 9.438 Å
α = 80.34°, β = 85.41°, γ = 72.16°
Space group P-1 (No. 2)
One atom of each set of equivalent atoms:
Lu (0.238, 0.149, 0.168) [2 per cell]
I (0.172, 0.755, 0.482) [2 per cell]
I (0.234, 0.903, 0.859) [2 per cell]
I (0.398, 0.348, 0.803) [2 per cell]
O (0.090, 0.985, 0.352) [2 per cell]
O (0.101, 0.731, 0.859) [2 per cell]
O (0.145, 0.472, 0.183) [2 per cell]
O (0.200, 0.922, 0.053) [2 per cell]
O (0.215, 0.288, 0.939) [2 per cell]
O (0.233, 0.439, 0.654) [2 per cell]
O (0.261, 0.200, 0.397) [2 per cell]
O (0.326, 0.608, 0.355) [2 per cell]
O (0.342, 0.816, 0.582) [2 per cell]
O (0.486, 0.741, 0.880) [2 per cell]
O (0.494, 0.099, 0.772) [2 per cell]

***

(4)
DFT (PBE-GGA) results for crystalline LuIO at its relaxed geometry.

a = 3.860 Å, b = 3.860 Å, c = 9.894 Å
α = 90.00°, β = 90.00°, γ = 90.00°
Space group P4/nmm (No. 129, origin choice 2)
One atom of each set of equivalent atoms:
Lu (0.250, 0.250, 0.107) [2 per cell]
I (0.250, 0.250, 0.699) [2 per cell]
O (0.250, 0.750, 0.000) [2 per cell]

***

(5)
DFT (PBE-GGA) results for crystalline LuSI at its relaxed geometry.

a = 4.4431 Å, b = 4.4431 Å, c = 5.1001 Å
α = 90.00°, β = 90.00°, γ = 120.00°
Space group P-6m2 (No. 187)
One atom of each set of equivalent atoms:
Lu (0.0000, 0.0000, 0.0000) [1 per cell]
S (0.3333, 0.6667, 0.0000) [1 per cell]
I (0.6667, 0.3333, 0.5000) [1 per cell]

***

(6)
DFT (PBE-GGA) results for crystalline MgI2 at its relaxed geometry.

a = 4.2095 Å, b = 4.2095 Å, c = 7.7313 Å
α = 90.00°, β = 90.00°, γ = 120.00°
Space group P-3m1 (No. 164)
One atom of each set of equivalent atoms:
Mg (0.0000, 0.0000, 0.0000) [1 per cell]
I (0.3333, 0.6667, 0.7835) [2 per cell]

***

Number 1: electronic total energy -3.582 eV per atom. Number 2: electronic total energy -5.792 eV per atom. Number 3: electronic total energy -4.748 eV per atom. Number 4: electronic total energy -6.403 eV per atom. Number 5: electronic total energy -4.760 eV per atom. Number 6: electronic total energy -2.611 eV per atom.